! Na4YZrSi2PO12, optimized geometry, DFT PBE-GGA; values from VASP
&SYSTEM
  ibrav = 0, nat = 126, ntyp = 6
/
ATOMIC_SPECIES
Si 28.09 Si.upf
O 16.00 O.upf
Na 22.99 Na.upf
Zr 91.22 Zr.upf
P 30.97 P.upf
Y 88.91 Y.upf
ATOMIC_POSITIONS crystal
Si 0.005 0.303 0.251
Si 0.696 0.701 0.251
Si 0.338 0.970 0.918
Si 0.671 0.636 0.584
Si 0.697 0.995 0.751
Si 0.364 0.329 0.084
Si 0.029 0.368 0.917
Si 0.363 0.034 0.584
Si 0.632 0.971 0.417
Si 0.299 0.304 0.751
Si 0.030 0.662 0.418
Si 0.966 0.637 0.084
O 0.462 0.156 0.527
O 0.507 0.654 0.581
O 0.221 0.193 0.808
O 0.474 0.112 0.642
O 0.679 0.159 0.747
O 0.140 0.446 0.975
O 0.527 0.863 0.077
O 0.644 0.112 0.139
O 0.967 0.164 0.587
O 0.554 0.860 0.475
O 0.175 0.485 0.253
O 0.842 0.818 0.587
O 0.174 0.987 0.914
O 0.310 0.445 0.472
O 0.555 0.690 0.972
O 0.648 0.531 0.643
O 0.977 0.778 0.806
O 0.027 0.819 0.697
O 0.848 0.492 0.420
O 0.182 0.158 0.087
O 0.836 0.033 0.087
O 0.128 0.638 0.361
O 0.517 0.695 0.254
O 0.181 0.973 0.197
O 0.795 0.972 0.694
O 0.888 0.356 0.639
O 0.666 0.514 0.247
O 0.000 0.181 0.913
O 0.804 0.806 0.910
O 0.511 0.872 0.360
O 0.183 0.029 0.587
O 0.360 0.485 0.363
O 0.819 0.000 0.413
O 0.137 0.473 0.577
O 0.135 0.685 0.476
O 0.305 0.483 0.754
O 0.503 0.366 0.420
O 0.194 0.196 0.410
O 0.469 0.352 0.143
O 0.013 0.826 0.414
O 0.971 0.817 0.087
O 0.152 0.667 0.080
O 0.802 0.018 0.810
O 0.515 0.640 0.863
O 0.695 0.538 0.527
O 0.634 0.497 0.920
O 0.346 0.493 0.081
O 0.128 0.489 0.860
O 0.694 0.152 0.030
O 0.333 0.848 0.580
O 0.515 0.825 0.753
O 0.795 0.823 0.194
O 0.315 0.865 0.976
O 0.222 0.023 0.306
O 0.982 0.198 0.310
O 0.807 0.779 0.308
O 0.470 0.140 0.243
O 0.888 0.526 0.142
O 0.860 0.530 0.743
O 0.486 0.334 0.747
O 0.462 0.305 0.027
O 0.841 0.321 0.247
O 0.300 0.830 0.254
O 0.844 0.538 0.027
O 0.028 0.205 0.194
O 0.177 0.205 0.694
O 0.850 0.362 0.921
O 0.508 0.152 0.920
O 0.848 0.306 0.530
O 0.170 0.700 0.754
O 0.638 0.150 0.421
O 0.362 0.872 0.861
Na 0.297 0.963 0.077
Na 0.013 0.007 0.998
Na 0.964 0.297 0.411
Na 0.037 0.703 0.577
Na 0.660 0.321 0.832
Na 0.326 0.654 0.165
Na 0.376 0.013 0.749
Na 0.631 0.630 0.744
Na 0.979 0.673 0.918
Na 0.042 0.346 0.083
Na 0.993 0.987 0.498
Na 0.370 0.369 0.244
Na 0.987 0.624 0.249
Na 0.321 0.291 0.916
Na 0.993 0.355 0.752
Na 0.660 0.688 0.085
Na 0.346 0.674 0.665
Na 0.645 0.007 0.252
Na 0.703 0.036 0.911
Na 0.312 0.340 0.585
Na 0.709 0.679 0.416
Na 0.654 0.958 0.583
Na 0.679 0.340 0.332
Na 0.327 0.021 0.418
Zr 0.666 0.334 0.483
Zr 0.999 0.001 0.149
Zr 0.999 0.001 0.649
Zr 0.666 0.334 0.983
Zr 0.332 0.668 0.316
Zr 0.332 0.668 0.816
P 0.628 0.660 0.917
P 0.340 0.372 0.417
P 0.007 0.706 0.750
P 0.294 0.993 0.250
P 0.673 0.039 0.083
P 0.961 0.327 0.583
Y 0.336 0.671 0.516
Y 0.670 0.338 0.182
Y 0.329 0.664 0.016
Y 0.996 0.997 0.349
Y 0.003 0.004 0.849
Y 0.662 0.330 0.682
CELL_PARAMETERS angstrom
-9.009 2.316 -1.213
2.943 -3.138 8.336
4.610 21.508 6.407
! Magnetic moment, μB/f.u.: 0.00
! Energy relative to the elements, eV/atom: -3.06
! Total energy, eV per cell: -911.95
! MP2020-corrected energy, eV for the cell shown: -961.42
! Calculated density, g cm⁻³: 3.14

---

! Na5Y2Zr2SiP5O24, optimized geometry, DFT PBE-GGA; values from VASP
&SYSTEM
  ibrav = 0, nat = 117, ntyp = 6
/
ATOMIC_SPECIES
Na 22.99 Na.upf
Y 88.91 Y.upf
Zr 91.22 Zr.upf
Si 28.09 Si.upf
P 30.97 P.upf
O 16.00 O.upf
ATOMIC_POSITIONS crystal
Na 0.000 0.000 0.000
Na 0.001 0.633 0.757
Na 0.289 0.316 0.336
Na 0.323 0.972 0.913
Na 0.326 0.619 0.169
Na 0.328 0.965 0.420
Na 0.348 0.288 0.003
Na 0.620 0.653 0.002
Na 0.641 0.317 0.585
Na 0.660 0.678 0.338
Na 0.663 0.307 0.090
Na 0.692 0.609 0.670
Na 0.954 0.989 0.669
Na 0.976 0.661 0.252
Na 0.987 0.287 0.504
Y 0.315 0.983 0.268
Y 0.323 0.983 0.071
Y 0.650 0.316 0.733
Y 0.667 0.304 0.234
Y 0.985 0.660 0.405
Y 0.991 0.651 0.897
Zr 0.317 0.989 0.772
Zr 0.327 0.979 0.566
Zr 0.651 0.319 0.932
Zr 0.654 0.314 0.440
Zr 0.989 0.645 0.103
Zr 0.992 0.639 0.603
Si 0.033 0.275 0.667
Si 0.288 0.645 0.002
Si 0.688 0.649 0.501
P 0.021 0.975 0.165
P 0.286 0.351 0.501
P 0.317 0.289 0.168
P 0.317 0.698 0.668
P 0.360 0.308 0.835
P 0.366 0.605 0.335
P 0.615 0.976 0.668
P 0.626 0.680 0.169
P 0.648 0.616 0.833
P 0.654 0.021 0.337
P 0.697 0.944 0.002
P 0.951 0.315 0.339
P 0.954 0.022 0.834
P 0.985 0.355 0.001
P 0.989 0.947 0.505
O 0.009 0.466 0.662
O 0.012 0.809 0.161
O 0.016 0.435 0.949
O 0.021 0.842 0.452
O 0.099 0.996 0.110
O 0.122 0.161 0.610
O 0.129 0.159 0.335
O 0.130 0.009 0.831
O 0.138 0.944 0.217
O 0.139 0.179 0.009
O 0.140 0.979 0.511
O 0.151 0.177 0.723
O 0.153 0.688 0.661
O 0.155 0.467 0.163
O 0.162 0.684 0.950
O 0.182 0.421 0.447
O 0.185 0.460 0.840
O 0.193 0.617 0.341
O 0.194 0.469 0.553
O 0.201 0.612 0.060
O 0.291 0.807 0.722
O 0.296 0.205 0.222
O 0.298 0.178 0.511
O 0.320 0.805 0.007
O 0.338 0.189 0.113
O 0.342 0.784 0.616
O 0.353 0.142 0.832
O 0.359 0.776 0.334
O 0.442 0.506 0.279
O 0.447 0.329 0.783
O 0.463 0.331 0.497
O 0.467 0.321 0.171
O 0.469 0.289 0.891
O 0.475 0.470 0.995
O 0.475 0.524 0.672
O 0.482 0.506 0.387
O 0.485 0.789 0.831
O 0.488 0.011 0.335
O 0.501 0.810 0.510
O 0.507 0.996 0.615
O 0.517 0.977 0.009
O 0.518 0.763 0.115
O 0.532 0.947 0.721
O 0.545 0.786 0.223
O 0.630 0.521 0.888
O 0.636 0.508 0.172
O 0.637 0.132 0.390
O 0.643 0.127 0.671
O 0.668 0.514 0.779
O 0.671 0.102 0.282
O 0.683 0.469 0.497
O 0.690 0.118 0.995
O 0.765 0.675 0.443
O 0.770 0.832 0.949
O 0.792 0.814 0.661
O 0.803 0.662 0.161
O 0.804 0.635 0.839
O 0.804 0.841 0.339
O 0.811 0.857 0.055
O 0.817 0.617 0.557
O 0.823 0.339 0.995
O 0.829 0.125 0.498
O 0.842 0.341 0.286
O 0.845 0.295 0.670
O 0.846 0.128 0.170
O 0.853 0.105 0.779
O 0.861 0.297 0.393
O 0.862 0.131 0.888
O 0.953 0.470 0.054
O 0.965 0.862 0.559
O 0.970 0.474 0.342
O 0.973 0.848 0.838
CELL_PARAMETERS angstrom
9.171 0.000 0.000
4.576 7.972 0.000
0.013 0.039 23.354
! SG: P1
! Magnetic moment, μB/f.u.: 0.00
! Energy relative to the elements, eV/atom: -3.10
! Total energy, eV per cell: -877.22
! MP2020-corrected energy, eV for the cell shown: -926.68
! Calculated density, g cm⁻³: 3.04

---

! Na5Zr3ZnSiP5O24, optimized geometry, DFT PBE-GGA; values from VASP
&SYSTEM
  ibrav = 0, nat = 117, ntyp = 6
/
ATOMIC_SPECIES
Na 22.99 Na.upf
Zr 91.22 Zr.upf
Zn 65.41 Zn.upf
Si 28.09 Si.upf
P 30.97 P.upf
O 16.00 O.upf
ATOMIC_POSITIONS crystal
Na 0.000 0.000 0.000
Na 0.000 0.261 0.500
Na 0.017 0.318 0.169
Na 0.290 0.309 0.678
Na 0.321 0.963 0.593
Na 0.328 0.964 0.086
Na 0.344 0.267 0.000
Na 0.349 0.654 0.503
Na 0.608 0.006 0.502
Na 0.612 0.656 0.000
Na 0.647 0.318 0.418
Na 0.653 0.308 0.916
Na 0.959 0.979 0.341
Na 0.975 0.656 0.759
Na 0.985 0.642 0.247
Zr 0.322 0.965 0.739
Zr 0.322 0.975 0.238
Zr 0.647 0.313 0.275
Zr 0.649 0.308 0.072
Zr 0.650 0.306 0.777
Zr 0.650 0.310 0.575
Zr 0.979 0.650 0.613
Zr 0.986 0.632 0.400
Zr 0.986 0.642 0.902
Zn 0.317 0.978 0.432
Zn 0.320 0.973 0.932
Zn 0.984 0.651 0.106
Si 0.026 0.265 0.341
Si 0.359 0.605 0.673
Si 0.649 0.015 0.674
P 0.025 0.977 0.844
P 0.274 0.644 0.008
P 0.279 0.348 0.507
P 0.318 0.267 0.842
P 0.321 0.683 0.343
P 0.352 0.311 0.173
P 0.610 0.977 0.343
P 0.612 0.680 0.843
P 0.654 0.604 0.172
P 0.691 0.642 0.506
P 0.693 0.930 0.008
P 0.946 0.009 0.174
P 0.946 0.307 0.674
P 0.986 0.935 0.505
P 0.987 0.349 0.010
O 0.004 0.820 0.558
O 0.006 0.455 0.345
O 0.006 0.814 0.846
O 0.014 0.425 0.065
O 0.098 0.153 0.400
O 0.100 0.999 0.901
O 0.121 0.006 0.179
O 0.125 0.151 0.680
O 0.138 0.954 0.790
O 0.140 0.169 0.002
O 0.142 0.173 0.283
O 0.147 0.951 0.504
O 0.152 0.676 0.346
O 0.156 0.448 0.846
O 0.165 0.673 0.062
O 0.171 0.433 0.562
O 0.174 0.464 0.169
O 0.176 0.609 0.666
O 0.188 0.466 0.454
O 0.193 0.610 0.954
O 0.293 0.801 0.290
O 0.295 0.183 0.786
O 0.300 0.170 0.502
O 0.304 0.797 0.001
O 0.334 0.793 0.679
O 0.340 0.146 0.178
O 0.341 0.166 0.898
O 0.351 0.751 0.400
O 0.450 0.325 0.225
O 0.454 0.476 0.727
O 0.456 0.477 0.013
O 0.458 0.336 0.510
O 0.462 0.287 0.117
O 0.469 0.520 0.612
O 0.472 0.011 0.680
O 0.472 0.502 0.333
O 0.477 0.290 0.835
O 0.492 0.779 0.178
O 0.511 0.960 0.001
O 0.513 0.001 0.400
O 0.513 0.754 0.900
O 0.513 0.800 0.501
O 0.521 0.795 0.790
O 0.522 0.950 0.289
O 0.621 0.129 0.614
O 0.628 0.518 0.116
O 0.635 0.133 0.334
O 0.635 0.501 0.835
O 0.672 0.486 0.225
O 0.678 0.110 0.728
O 0.679 0.112 0.013
O 0.679 0.476 0.510
O 0.772 0.820 0.062
O 0.781 0.663 0.560
O 0.791 0.664 0.846
O 0.795 0.821 0.346
O 0.806 0.615 0.452
O 0.810 0.849 0.954
O 0.814 0.826 0.668
O 0.818 0.610 0.169
O 0.820 0.334 0.013
O 0.823 0.114 0.511
O 0.831 0.334 0.726
O 0.837 0.104 0.228
O 0.837 0.282 0.332
O 0.846 0.135 0.835
O 0.858 0.129 0.120
O 0.865 0.282 0.616
O 0.955 0.469 0.956
O 0.957 0.854 0.450
O 0.963 0.836 0.169
O 0.969 0.464 0.666
CELL_PARAMETERS angstrom
9.068 0.000 0.000
4.531 7.885 0.000
0.009 0.108 22.874
! SG: P1
! Magnetic moment, μB/f.u.: 0.00
! Energy relative to the elements, eV/atom: -2.95
! Total energy, eV per cell: -849.61
! MP2020-corrected energy, eV for the cell shown: -899.07
! Calculated density, g cm⁻³: 3.11